Material: BaMg2Si2
Method: DFT, r2SCAN
State: relaxed Values from VASP.

Geometry as Quantum ESPRESSO input:
```
&SYSTEM
  ibrav = 0, nat = 5, ntyp = 3
/
ATOMIC_SPECIES
Ba 137.33 Ba.upf
Si 28.09 Si.upf
Mg 24.30 Mg.upf
CELL_PARAMETERS angstrom
-0.990 -3.736 -2.607
4.290 0.134 -1.821
0.162 -1.489 6.240
ATOMIC_POSITIONS crystal
Ba 0.000 0.000 0.000
Si 0.612 0.612 0.224
Si 0.388 0.388 0.776
Mg 0.750 0.250 0.500
Mg 0.250 0.750 0.500
```

Output
space group = I4/mmm (139)


Material: BaMg2Sn2
Method: DFT, r2SCAN
State: relaxed Values from VASP.

Geometry as Quantum ESPRESSO input:
```
&SYSTEM
  ibrav = 0, nat = 20, ntyp = 3
/
ATOMIC_SPECIES
Ba 137.33 Ba.upf
Sn 118.71 Sn.upf
Mg 24.30 Mg.upf
CELL_PARAMETERS angstrom
-3.794 1.016 -2.966
2.398 -2.060 -3.773
-9.987 -21.521 5.402
ATOMIC_POSITIONS crystal
Ba 0.000 0.500 0.379
Ba 0.500 0.000 0.621
Ba 0.000 0.500 0.871
Ba 0.500 0.000 0.129
Sn 0.500 0.500 0.500
Sn 0.000 0.500 0.066
Sn 0.500 0.000 0.934
Sn 0.500 0.000 0.318
Sn 0.500 0.000 0.815
Sn 0.000 0.500 0.185
Sn 0.000 0.500 0.682
Sn 0.000 0.000 0.500
Mg 0.500 0.500 0.252
Mg 0.000 0.000 0.000
Mg 0.500 0.500 0.748
Mg 0.000 0.000 0.748
Mg 0.500 0.500 0.000
Mg 0.000 0.500 0.566
Mg 0.500 0.000 0.434
Mg 0.000 0.000 0.252
```

Output
space group = P4/nmm (129)


Material: BaMnN2
Method: DFT, r2SCAN
State: relaxed Values from VASP.

Geometry as Quantum ESPRESSO input:
```
&SYSTEM
  ibrav = 0, nat = 16, ntyp = 3
/
ATOMIC_SPECIES
N 14.01 N.upf
Mn 54.94 Mn.upf
Ba 137.33 Ba.upf
CELL_PARAMETERS angstrom
2.710 3.489 4.616
-2.911 -5.635 0.772
6.733 -3.642 -1.199
ATOMIC_POSITIONS crystal
N 0.610 0.390 0.415
N 0.836 0.664 0.750
N 0.390 0.610 0.585
N 0.664 0.836 0.250
N 0.890 0.110 0.915
N 0.164 0.336 0.250
N 0.110 0.890 0.085
N 0.336 0.164 0.750
Mn 0.550 0.450 0.635
Mn 0.450 0.550 0.365
Mn 0.050 0.950 0.865
Mn 0.950 0.050 0.135
Ba 0.158 0.842 0.440
Ba 0.342 0.658 0.940
Ba 0.842 0.158 0.560
Ba 0.658 0.342 0.060
```

Output
space group = Cmce (64)


Material: BaMn6O12
Method: DFT, r2SCAN
State: relaxed Values from VASP.

Geometry as Quantum ESPRESSO input:
```
&SYSTEM
  ibrav = 0, nat = 38, ntyp = 3
/
ATOMIC_SPECIES
Mn 54.94 Mn.upf
O 16.00 O.upf
Ba 137.33 Ba.upf
CELL_PARAMETERS angstrom
4.252 -6.784 1.513
5.040 -2.394 -5.938
9.740 -0.633 0.657
ATOMIC_POSITIONS crystal
Mn 0.330 0.998 0.185
Mn 0.002 0.670 0.815
Mn 0.998 0.330 0.185
Mn 0.517 0.186 0.480
Mn 0.186 0.517 0.480
Mn 0.337 0.337 0.815
Mn 0.670 0.002 0.815
Mn 0.663 0.663 0.185
Mn 0.852 0.852 0.480
Mn 0.148 0.148 0.520
Mn 0.483 0.814 0.520
Mn 0.814 0.483 0.520
O 0.675 0.006 0.357
O 0.350 0.350 0.606
O 0.043 0.373 0.941
O 0.373 0.710 0.277
O 0.656 0.656 0.650
O 0.373 0.043 0.941
O 0.325 0.994 0.643
O 0.296 0.296 0.060
O 0.627 0.290 0.723
O 0.290 0.627 0.723
O 0.994 0.325 0.643
O 0.710 0.373 0.277
O 0.344 0.344 0.350
O 0.987 0.324 0.388
O 0.676 0.013 0.612
O 0.957 0.627 0.059
O 0.006 0.675 0.357
O 0.627 0.957 0.059
O 0.324 0.987 0.388
O 0.704 0.704 0.940
O 0.650 0.650 0.394
O 0.958 0.958 0.716
O 0.013 0.676 0.612
O 0.042 0.042 0.284
Ba 0.716 0.284 0.000
Ba 0.284 0.716 0.000
```

Output
space group = C2/m (12)


Material: Ba5Mn5O14
Method: DFT, r2SCAN
State: relaxed Values from VASP.

Geometry as Quantum ESPRESSO input:
```
&SYSTEM
  ibrav = 0, nat = 48, ntyp = 3
/
ATOMIC_SPECIES
O 16.00 O.upf
Mn 54.94 Mn.upf
Ba 137.33 Ba.upf
CELL_PARAMETERS angstrom
1.296 1.257 -5.412
-5.467 -0.491 1.557
-0.581 22.962 5.195
ATOMIC_POSITIONS crystal
O 0.715 0.863 0.949
O 0.684 0.843 0.352
O 0.826 0.157 0.651
O 0.156 0.331 0.152
O 0.863 0.715 0.051
O 0.331 0.156 0.848
O 0.331 0.156 0.652
O 0.938 0.443 0.750
O 0.157 0.826 0.349
O 0.156 0.331 0.348
O 0.684 0.843 0.148
O 0.154 0.862 0.948
O 0.443 0.938 0.250
O 0.826 0.157 0.849
O 0.843 0.684 0.852
O 0.862 0.154 0.448
O 0.445 0.505 0.250
O 0.862 0.154 0.052
O 0.157 0.826 0.151
O 0.306 0.156 0.051
O 0.156 0.306 0.551
O 0.715 0.863 0.551
O 0.154 0.862 0.552
O 0.843 0.684 0.648
O 0.863 0.715 0.449
O 0.505 0.445 0.750
O 0.156 0.306 0.949
O 0.306 0.156 0.449
Mn 0.672 0.343 0.692
Mn 0.003 0.003 0.607
Mn 0.003 0.003 0.393
Mn 0.003 0.003 0.893
Mn 0.011 0.011 0.500
Mn 0.672 0.343 0.808
Mn 0.343 0.672 0.192
Mn 0.343 0.672 0.308
Mn 0.003 0.003 0.107
Mn 0.011 0.011 0.000
Ba 0.672 0.339 0.545
Ba 0.999 0.001 0.250
Ba 0.660 0.331 0.360
Ba 0.339 0.672 0.045
Ba 0.339 0.672 0.455
Ba 0.331 0.660 0.860
Ba 0.672 0.339 0.955
Ba 0.660 0.331 0.140
Ba 0.001 0.999 0.750
Ba 0.331 0.660 0.640
```

Output
space group = Ama2 (40)


Material: Ba4Mn3O10
Method: DFT, r2SCAN
State: relaxed Values from VASP.

Geometry as Quantum ESPRESSO input:
```
&SYSTEM
  ibrav = 0, nat = 34, ntyp = 3
/
ATOMIC_SPECIES
Ba 137.33 Ba.upf
O 16.00 O.upf
Mn 54.94 Mn.upf
CELL_PARAMETERS angstrom
-2.435 6.682 1.086
-2.853 -6.518 1.064
4.814 -0.172 11.860
ATOMIC_POSITIONS crystal
Ba 0.756 0.244 0.111
Ba 0.256 0.744 0.389
Ba 0.038 0.962 0.641
Ba 0.244 0.756 0.889
Ba 0.462 0.538 0.141
Ba 0.538 0.462 0.859
Ba 0.744 0.256 0.611
Ba 0.962 0.038 0.359
O 0.321 0.116 0.038
O 0.033 0.967 0.856
O 0.179 0.384 0.538
O 0.635 0.865 0.750
O 0.533 0.467 0.644
O 0.739 0.261 0.852
O 0.239 0.761 0.648
O 0.135 0.365 0.750
O 0.761 0.239 0.352
O 0.384 0.179 0.462
O 0.116 0.321 0.962
O 0.365 0.135 0.250
O 0.679 0.884 0.962
O 0.884 0.679 0.038
O 0.865 0.635 0.250
O 0.616 0.821 0.538
O 0.467 0.533 0.356
O 0.261 0.739 0.148
O 0.821 0.616 0.462
O 0.967 0.033 0.144
Mn 0.125 0.875 0.153
Mn 0.625 0.375 0.347
Mn 0.875 0.125 0.847
Mn 0.000 0.000 0.000
Mn 0.500 0.500 0.500
Mn 0.375 0.625 0.653
```

Output
space group = Cmce (64)


How do the records compare in electronic total energy? In the order shown, they have -10.85; -17.42; -15.64; -12.07; -14.66; -14.99 eV/atom.
How do the records compare in magnetization? In the order shown, they have 0.000; 0.000; 0.948; 20.000; 17.000; 9.000 μB/f.u..
How do the records compare in calculated formation energy? In the order shown, they have -369; -553; -777; -2266; -2594; -2646 meV per atom.